First-principles (GGA-PBE) data for a relaxed structure of YRhW2, as listed in Materials Project.

Calculated values
For the final energy, the calculation gives -37.2 eV for the cell shown. The formation energy comes out at 0.64 eV per atom. Its space-group type is No. 225. Its total magnetic moment is 0.000 μB per atom.

Lattice parameters (Å, degrees): 4.622 4.622 4.622 60.00 60.00 60.00
Fractional coordinates of all 4 atoms:
1 Y 0.000 0.000 0.000
2 Rh 0.500 0.500 0.500
3 W 0.250 0.250 0.250
4 W 0.750 0.750 0.750